The following is a DFT calculation (PBE+U) of a relaxed structure of NiH24C2S2N6O14.

Cell lengths 7.6558, 10.0620, 12.0514 Å; angles 82.95, 90.00, 90.00 degrees
Last column: nearest neighbours and their distance in Å.
Fractional positions:
H 0.8315 0.5145 0.5365  1 O 0.99
H 0.7158 0.8745 0.7781  1 N 1.02
H 0.8383 0.5596 0.1795  1 O 0.99
H 0.5121 0.5163 0.2724  1 O 0.99
H 0.6939 0.3942 0.9616  1 O 0.99
H 0.8162 0.1518 0.2084  1 N 1.02
H 0.6107 0.8683 0.9070  1 N 1.02
H 0.9451 0.8777 0.1160  1 N 1.02
H 0.6900 0.1646 0.0850  1 N 1.02
H 0.3162 0.8482 0.2916  1 N 1.02
H 0.1107 0.1317 0.5930  1 N 1.02
H 0.3893 0.1317 0.0930  1 N 1.02
H 0.4451 0.1223 0.3840  1 N 1.02
H 0.6287 0.7402 0.4890  1 O 0.99
H 0.1900 0.8354 0.4150  1 N 1.02
H 0.6838 0.1518 0.7084  1 N 1.02
H 0.8713 0.7402 0.9890  1 O 0.99
H 0.3383 0.4404 0.3205  1 O 0.99
H 0.9592 0.7302 0.8714  1 O 0.99
H 0.2842 0.1255 0.2219  1 N 1.02
H 0.3100 0.8354 0.9150  1 N 1.02
H 0.0408 0.2698 0.1286  1 O 0.99
H 0.5549 0.8777 0.6160  1 N 1.02
H 0.8061 0.3942 0.4616  1 O 0.99
H 0.3713 0.2598 0.5110  1 O 0.99
H 0.6617 0.5596 0.6795  1 O 0.99
H 0.1685 0.4855 0.4635  1 O 0.99
H 0.8893 0.8683 0.4070  1 N 1.02
H 0.1698 0.8517 0.1223  1 N 1.02
H 0.3061 0.6058 0.0384  1 O 0.99
H 0.6698 0.1483 0.3777  1 N 1.02
H 0.9879 0.5163 0.7724  1 O 0.99
H 0.2158 0.1255 0.7219  1 N 1.02
H 0.5408 0.7302 0.3714  1 O 0.99
H 0.0121 0.4837 0.2276  1 O 0.99
H 0.1838 0.8482 0.7916  1 N 1.02
H 0.1287 0.2598 0.0110  1 O 0.99
H 0.1939 0.6058 0.5384  1 O 0.99
H 0.4592 0.2698 0.6286  1 O 0.99
H 0.0549 0.1223 0.8840  1 N 1.02
H 0.3315 0.4855 0.9635  1 O 0.99
H 0.4879 0.4837 0.7276  1 O 0.99
H 0.8302 0.1483 0.8777  1 N 1.02
H 0.3302 0.8517 0.6223  1 N 1.02
H 0.6685 0.5145 0.0365  1 O 0.99
H 0.8100 0.1646 0.5850  1 N 1.02
H 0.1617 0.4404 0.8205  1 O 0.99
H 0.7842 0.8745 0.2781  1 N 1.02
S 0.0629 0.2490 0.3710  4 O 1.49-1.51
S 0.9371 0.7510 0.6290  4 O 1.49-1.51
S 0.5629 0.7510 0.1290  4 O 1.49-1.51
S 0.4371 0.2490 0.8710  4 O 1.49-1.51
O 0.8919 0.2374 0.4310  1 S 1.49
O 0.2978 0.1784 0.9423  1 S 1.49
O 0.0381 0.4579 0.8368  2 H 0.99
O 0.3896 0.3950 0.8452  1 S 1.51
O 0.9752 0.7056 0.9530  2 H 0.99
O 0.0248 0.2944 0.0470  2 H 0.99
O 0.6104 0.6050 0.1548  1 S 1.51
O 0.7978 0.8216 0.5577  1 S 1.49
O 0.5248 0.7056 0.4530  2 H 0.99
O 0.7022 0.8216 0.0577  1 S 1.49
O 0.6081 0.2374 0.9310  1 S 1.49
O 0.9511 0.8105 0.7360  1 S 1.49
O 0.5489 0.8105 0.2360  1 S 1.49
O 0.1104 0.3950 0.3452  1 S 1.51
O 0.4752 0.2944 0.5470  2 H 0.99
O 0.4511 0.1895 0.7640  1 S 1.49
O 0.1081 0.7626 0.5690  1 S 1.49
O 0.3919 0.7626 0.0690  1 S 1.49
O 0.4619 0.4579 0.3368  2 H 0.99
O 0.9619 0.5421 0.1632  2 H 0.99
O 0.0489 0.1895 0.2640  1 S 1.49
O 0.5381 0.5421 0.6632  2 H 0.99
O 0.8896 0.6050 0.6548  1 S 1.51
O 0.2651 0.5155 0.0260  2 H 0.99
O 0.2349 0.5155 0.5260  2 H 0.99
O 0.7349 0.4845 0.9740  2 H 0.99
O 0.2022 0.1784 0.4423  1 S 1.49
O 0.7651 0.4845 0.4740  2 H 0.99
C 0.0516 0.8706 0.2703  3 N 1.33-1.34
C 0.5516 0.1294 0.2297  3 N 1.33-1.34
C 0.9484 0.1294 0.7297  3 N 1.33-1.34
C 0.4484 0.8706 0.7703  3 N 1.33-1.34
N 0.1986 0.8561 0.3303  2 H 1.02
N 0.9404 0.1152 0.8419  2 H 1.02
N 0.4404 0.8848 0.6581  2 H 1.02
N 0.8981 0.8770 0.3219  2 H 1.02
N 0.1019 0.1230 0.6781  2 H 1.02
N 0.0596 0.8848 0.1581  2 H 1.02
N 0.3014 0.8561 0.8303  2 H 1.02
N 0.8014 0.1439 0.6697  2 H 1.02
N 0.3981 0.1230 0.1781  2 H 1.02
N 0.6019 0.8770 0.8219  2 H 1.02
N 0.6986 0.1439 0.1697  2 H 1.02
N 0.5596 0.1152 0.3419  2 H 1.02
Ni 0.0000 0.5000 0.0000  6 O 2.06-2.09
Ni 0.5000 0.5000 0.5000  6 O 2.06-2.09

Results
space-group type	P2_1/c, No. 14
DFT total energy	-5.553	eV/atom
ΔE_f	-1.042	eV/atom
total magnetization	0.041	μB per atom